No. 1
MgZn3S4: optimized geometry, PBE.

```
MgZn3S4
1.0
1.8170 6.0156 0.0000
-1.8170 6.0156 0.0000
0.0000 1.0904 6.1914
S Mg Zn
4 1 3
direct
0.8740 0.8740 0.3800
0.3722 0.3722 0.8722
0.6278 0.6278 0.1278
0.1260 0.1260 0.6200
0.0000 0.0000 0.0000
0.5000 0.5000 0.5000
0.7507 0.7507 0.7490
0.2493 0.2493 0.2510
```

Properties
DFT formation energy   -7.75 eV/f.u.
Space group   No. 12
Magnetic moment   0.000 μB per atom

No. 2
Cr2S3: optimized geometry, PBE.

```
Cr2S3
1.0
5.8729 -3.0108 0.0000
5.8729 3.0108 0.0000
4.3293 0.0000 4.9812
S Cr
6 4
direct
0.5965 0.9022 0.2658
0.2658 0.5965 0.9022
0.4035 0.0978 0.7342
0.0978 0.7342 0.4035
0.7342 0.4035 0.0978
0.9022 0.2658 0.5965
0.6775 0.6775 0.6775
0.3225 0.3225 0.3225
0.5000 0.5000 0.5000
0.0000 0.0000 0.0000
```

Properties
DFT formation energy   -4.97 eV/f.u.
Space group   No. 148

No. 3
PuB2Os3: optimized geometry, PBE.

```
PuB2Os3
1.0
-1.5433 -0.2472 2.5244
-4.7273 1.1264 -2.7742
1.7349 -5.2949 0.5421
Pu B Os
1 2 3
direct
0.0000 0.0000 0.0000
0.9998 0.6660 0.3330
0.0002 0.3340 0.6670
0.5000 0.5000 0.0000
0.5000 0.5000 0.5000
0.5000 0.0000 0.5000
```

Properties
DFT formation energy   -0.44 eV/f.u.
Space group   No. 191
Magnetic moment   0.010 μB per atom

No. 4
ZrGePd: optimized geometry, PBE.

```
ZrGePd
1.0
-3.6808 0.0044 1.5477
-2.6066 -0.2157 -6.1987
0.0888 -7.7861 0.2336
Zr Ge Pd
4 4 4
direct
0.7500 0.4724 0.8142
0.2500 0.0276 0.3142
0.7500 0.9724 0.6858
0.2500 0.5276 0.1858
0.7500 0.2455 0.1196
0.7500 0.7455 0.3804
0.2500 0.7545 0.8804
0.2500 0.2545 0.6196
0.7500 0.8560 0.0639
0.7500 0.3560 0.4361
0.2500 0.1440 0.9361
0.2500 0.6440 0.5639
```

Properties
DFT formation energy   -2.71 eV/f.u.
Space group   No. 62

No. 5
Rb3NaMgRu2O8: optimized geometry, PBE.

```
Rb3NaMgRu2O8
1.0
-1.8801 -1.0562 -5.7772
-0.7999 -5.2540 4.5119
-6.9895 3.3903 1.6547
O Rb Ru Na Mg
8 3 2 1 1
direct
0.6189 0.8197 0.3587
0.3563 0.7126 0.0042
0.7991 0.1803 0.6413
0.2009 0.8197 0.3587
0.1917 0.3835 0.2709
0.6437 0.2874 0.9958
0.3811 0.1803 0.6413
0.8083 0.6165 0.7291
0.7313 0.4626 0.3288
0.2687 0.5374 0.6712
0.0000 0.0000 0.0000
0.3283 0.6566 0.2169
0.6717 0.3434 0.7831
0.0000 0.0000 0.5000
0.5000 0.0000 0.5000
```

Properties
DFT formation energy   -25.66 eV/f.u.
Space group   No. 12
Magnetic moment   0.133 μB per atom

No. 6
ThI4: optimized geometry, PBE.

```
ThI4
1.0
8.2136 0.0000 0.0000
0.0000 8.4659 0.0000
0.0000 5.4147 13.4511
Th I
4 16
direct
0.5148 0.0045 0.3172
0.9852 0.0045 0.8172
0.0148 0.9955 0.1828
0.4852 0.9955 0.6828
0.8601 0.1379 0.3491
0.4166 0.2276 0.4463
0.8091 0.2033 0.6027
0.9166 0.7724 0.0537
0.7460 0.7110 0.8126
0.6399 0.1379 0.8491
0.6909 0.2033 0.1027
0.2460 0.2890 0.6874
0.1909 0.7967 0.3973
0.5834 0.7724 0.5537
0.1399 0.8621 0.6509
0.3091 0.7967 0.8973
0.7540 0.7110 0.3126
0.2540 0.2890 0.1874
0.0834 0.2276 0.9463
0.3601 0.8621 0.1509
```

Properties
DFT formation energy   -7.70 eV/f.u.
Space group   No. 14

No. 7
Fe3Si4Ir: optimized geometry, PBE.

```
Fe3Si4Ir
1.0
3.2231 -3.2116 0.0000
3.2231 3.2116 0.0000
0.0230 0.0000 4.5500
Si Fe Ir
4 3 1
direct
0.8339 0.6448 0.3442
0.3442 0.8339 0.6448
0.6448 0.3442 0.8339
0.1709 0.1709 0.1709
0.6342 0.1389 0.3658
0.1389 0.3658 0.6342
0.3658 0.6342 0.1389
0.8672 0.8672 0.8672
```

Properties
DFT formation energy   -4.13 eV/f.u.
Space group   No. 146
Magnetic moment   0.192 μB per atom

No. 8
Ba7Hg31: optimized geometry, PBE.

```
Ba7Hg31
1.0
5.7236 -9.9135 0.0000
5.7236 9.9135 0.0000
0.0000 0.0000 10.1696
Hg Ba
31 7
direct
0.5231 0.4769 0.2681
0.5231 0.4769 0.7319
0.8341 0.6682 0.1622
0.6005 0.6669 0.0000
0.4320 0.5680 0.5000
0.1497 0.8503 0.2845
0.7007 0.8503 0.2845
0.6667 0.3333 0.3522
0.7007 0.8503 0.7155
0.8341 0.1659 0.1622
0.1497 0.2993 0.7155
0.0000 0.0000 0.3506
0.4320 0.8640 0.5000
0.9538 0.4769 0.7319
0.1360 0.5680 0.5000
0.1497 0.8503 0.7155
0.0664 0.3995 0.0000
0.5231 0.0462 0.2681
0.6667 0.3333 0.6478
0.0000 0.0000 0.6494
0.3331 0.3995 0.0000
0.3331 0.9336 0.0000
0.3318 0.1659 0.1622
0.5231 0.0462 0.7319
0.1497 0.2993 0.2845
0.3318 0.1659 0.8378
0.9538 0.4769 0.2681
0.0664 0.6669 0.0000
0.6005 0.9336 0.0000
0.8341 0.6682 0.8378
0.8341 0.1659 0.8378
0.6667 0.3333 0.0000
0.3333 0.6667 0.7854
0.0000 0.0000 0.0000
0.8354 0.1646 0.5000
0.3292 0.1646 0.5000
0.8354 0.6708 0.5000
0.3333 0.6667 0.2146
```

Properties
DFT formation energy   -12.33 eV/f.u.
Space group   No. 187